No. 1
Material: ZnH4C2O6
Method: DFT, GGA-PBE
State: relaxed Values from VASP.

```
&SYSTEM
  ibrav = 0, nat = 26, ntyp = 4
/
ATOMIC_SPECIES
Zn 65.41 Zn.upf
H 1.01 H.upf
C 12.01 C.upf
O 16.00 O.upf
ATOMIC_POSITIONS crystal
Zn 0.073 0.927 0.750
Zn 0.927 0.073 0.250
H 0.007 0.305 0.143
H 0.145 0.373 0.349
H 0.305 0.007 0.643
H 0.373 0.145 0.849
H 0.627 0.855 0.151
H 0.695 0.993 0.357
H 0.855 0.627 0.651
H 0.993 0.695 0.857
C 0.375 0.523 0.150
C 0.477 0.625 0.350
C 0.523 0.375 0.650
C 0.625 0.477 0.850
O 0.108 0.233 0.241
O 0.133 0.691 0.075
O 0.233 0.108 0.741
O 0.280 0.539 0.574
O 0.309 0.867 0.425
O 0.461 0.720 0.926
O 0.539 0.280 0.074
O 0.691 0.133 0.575
O 0.720 0.461 0.426
O 0.767 0.892 0.259
O 0.867 0.309 0.925
O 0.892 0.767 0.759
CELL_PARAMETERS angstrom
6.116 -2.757 0.000
6.116 2.757 0.000
-5.949 0.000 7.764
```

Summary:
Energy of formation in kJ per mole of atoms: -141.8
Calculated volume in A^3/atom: 10.1

---

No. 2
Material: ZnH2C2O4
Method: DFT, GGA-PBE
State: relaxed Values from VASP.

```
&SYSTEM
  ibrav = 0, nat = 108, ntyp = 4
/
ATOMIC_SPECIES
Zn 65.41 Zn.upf
H 1.01 H.upf
C 12.01 C.upf
O 16.00 O.upf
ATOMIC_POSITIONS crystal
Zn 0.000 0.000 0.102
Zn 0.000 0.500 0.898
Zn 0.133 0.865 0.523
Zn 0.229 0.251 0.574
Zn 0.303 0.106 0.999
Zn 0.409 0.484 0.075
Zn 0.488 0.734 0.585
Zn 0.512 0.234 0.415
Zn 0.591 0.984 0.925
Zn 0.697 0.606 0.001
Zn 0.771 0.751 0.426
Zn 0.867 0.365 0.477
H 0.028 0.609 0.202
H 0.049 0.574 0.499
H 0.081 0.288 0.910
H 0.179 0.126 0.289
H 0.230 0.409 0.751
H 0.238 0.402 0.300
H 0.265 0.916 0.771
H 0.292 0.868 0.300
H 0.354 0.696 0.843
H 0.378 0.814 0.048
H 0.440 0.010 0.463
H 0.450 0.119 0.713
H 0.550 0.619 0.287
H 0.560 0.510 0.537
H 0.622 0.314 0.952
H 0.646 0.196 0.157
H 0.708 0.368 0.700
H 0.735 0.416 0.229
H 0.762 0.902 0.700
H 0.770 0.909 0.249
H 0.821 0.626 0.711
H 0.919 0.788 0.090
H 0.951 0.074 0.501
H 0.972 0.109 0.798
C 0.081 0.576 0.136
C 0.097 0.413 0.701
C 0.125 0.641 0.522
C 0.181 0.376 0.367
C 0.203 0.315 0.961
C 0.275 0.130 0.237
C 0.302 0.637 0.886
C 0.303 0.882 0.043
C 0.345 0.051 0.500
C 0.346 0.130 0.759
C 0.376 0.879 0.744
C 0.393 0.832 0.361
C 0.607 0.332 0.639
C 0.624 0.379 0.256
C 0.654 0.630 0.241
C 0.655 0.551 0.500
C 0.697 0.382 0.957
C 0.698 0.137 0.114
C 0.725 0.630 0.763
C 0.797 0.815 0.039
C 0.819 0.876 0.633
C 0.875 0.141 0.478
C 0.903 0.913 0.299
C 0.919 0.076 0.864
O 0.025 0.952 0.263
O 0.027 0.067 0.954
O 0.032 0.406 0.374
O 0.036 0.720 0.510
O 0.079 0.375 0.607
O 0.142 0.616 0.859
O 0.170 0.884 0.085
O 0.214 0.180 0.719
O 0.216 0.407 0.971
O 0.223 0.008 0.531
O 0.231 0.087 0.146
O 0.239 0.551 0.156
O 0.278 0.317 0.431
O 0.286 0.633 0.558
O 0.319 0.256 0.006
O 0.336 0.829 0.658
O 0.349 0.812 0.451
O 0.362 0.953 0.996
O 0.371 0.143 0.509
O 0.372 0.088 0.850
O 0.414 0.595 0.959
O 0.418 0.173 0.267
O 0.461 0.313 0.662
O 0.471 0.389 0.202
O 0.529 0.889 0.798
O 0.539 0.813 0.338
O 0.582 0.673 0.733
O 0.586 0.095 0.041
O 0.628 0.588 0.150
O 0.629 0.643 0.491
O 0.638 0.453 0.004
O 0.651 0.312 0.549
O 0.664 0.329 0.342
O 0.681 0.756 0.994
O 0.714 0.133 0.442
O 0.722 0.817 0.569
O 0.761 0.051 0.844
O 0.769 0.587 0.854
O 0.777 0.508 0.469
O 0.784 0.907 0.029
O 0.786 0.680 0.281
O 0.830 0.384 0.915
O 0.858 0.116 0.141
O 0.921 0.875 0.393
O 0.964 0.220 0.490
O 0.968 0.906 0.626
O 0.973 0.567 0.046
O 0.975 0.452 0.737
CELL_PARAMETERS angstrom
7.799 0.000 0.000
0.000 13.806 0.000
-2.587 0.000 12.491
```

Summary:
Energy of formation in kJ per mole of atoms: -127.2
Calculated volume in A^3/atom: 12.5

---

No. 3
Material: ZnH2C2O4
Method: DFT, GGA-PBE
State: relaxed Values from VASP.

```
&SYSTEM
  ibrav = 0, nat = 108, ntyp = 4
/
ATOMIC_SPECIES
Zn 65.41 Zn.upf
H 1.01 H.upf
C 12.01 C.upf
O 16.00 O.upf
ATOMIC_POSITIONS crystal
Zn 0.000 0.000 0.000
Zn 0.000 0.500 0.500
Zn 0.071 0.111 0.312
Zn 0.071 0.389 0.812
Zn 0.125 0.076 0.868
Zn 0.125 0.424 0.368
Zn 0.500 0.000 0.000
Zn 0.500 0.500 0.500
Zn 0.875 0.576 0.632
Zn 0.875 0.924 0.132
Zn 0.929 0.611 0.188
Zn 0.929 0.889 0.688
H 0.010 0.750 0.372
H 0.010 0.750 0.872
H 0.028 0.106 0.463
H 0.028 0.394 0.963
H 0.247 0.698 0.262
H 0.247 0.802 0.762
H 0.267 0.666 0.576
H 0.267 0.834 0.076
H 0.300 0.039 0.273
H 0.300 0.461 0.773
H 0.493 0.204 0.494
H 0.493 0.296 0.994
H 0.507 0.704 0.006
H 0.507 0.796 0.506
H 0.700 0.539 0.227
H 0.700 0.961 0.727
H 0.733 0.166 0.924
H 0.733 0.334 0.424
H 0.753 0.198 0.238
H 0.753 0.302 0.738
H 0.972 0.606 0.037
H 0.972 0.894 0.537
H 0.990 0.250 0.128
H 0.990 0.250 0.628
C 0.001 0.669 0.829
C 0.001 0.831 0.329
C 0.031 0.214 0.453
C 0.031 0.286 0.953
C 0.191 0.016 0.210
C 0.191 0.484 0.710
C 0.270 0.628 0.315
C 0.270 0.872 0.815
C 0.275 0.603 0.531
C 0.275 0.897 0.031
C 0.375 0.222 0.447
C 0.375 0.278 0.947
C 0.625 0.722 0.053
C 0.625 0.778 0.553
C 0.725 0.103 0.969
C 0.725 0.397 0.469
C 0.730 0.128 0.185
C 0.730 0.372 0.685
C 0.809 0.516 0.290
C 0.809 0.984 0.790
C 0.969 0.714 0.047
C 0.969 0.786 0.547
C 0.999 0.169 0.671
C 0.999 0.331 0.171
O 0.023 0.207 0.002
O 0.023 0.293 0.502
O 0.043 0.247 0.390
O 0.043 0.253 0.890
O 0.049 0.557 0.867
O 0.049 0.943 0.367
O 0.059 0.197 0.754
O 0.059 0.303 0.254
O 0.087 0.011 0.217
O 0.087 0.489 0.717
O 0.157 0.583 0.305
O 0.157 0.917 0.805
O 0.165 0.527 0.478
O 0.165 0.973 0.978
O 0.179 0.504 0.639
O 0.179 0.996 0.139
O 0.294 0.123 0.407
O 0.294 0.377 0.907
O 0.335 0.156 0.939
O 0.335 0.344 0.439
O 0.386 0.613 0.534
O 0.386 0.887 0.034
O 0.400 0.603 0.378
O 0.400 0.897 0.878
O 0.600 0.103 0.122
O 0.600 0.397 0.622
O 0.614 0.113 0.966
O 0.614 0.387 0.466
O 0.665 0.656 0.561
O 0.665 0.844 0.061
O 0.706 0.623 0.093
O 0.706 0.877 0.593
O 0.821 0.004 0.861
O 0.821 0.496 0.361
O 0.835 0.027 0.022
O 0.835 0.473 0.522
O 0.843 0.083 0.195
O 0.843 0.417 0.695
O 0.913 0.511 0.283
O 0.913 0.989 0.783
O 0.941 0.697 0.746
O 0.941 0.803 0.246
O 0.951 0.057 0.633
O 0.951 0.443 0.133
O 0.957 0.747 0.110
O 0.957 0.753 0.610
O 0.977 0.707 0.498
O 0.977 0.793 0.998
CELL_PARAMETERS angstrom
11.527 0.000 0.000
0.000 10.075 0.000
-11.181 0.000 14.764
```

Summary:
Energy of formation in kJ per mole of atoms: -127.4
Calculated volume in A^3/atom: 15.9

---

No. 4
Material: Zn3H12C9O13
Method: DFT, GGA-PBE
State: relaxed Values from VASP.

```
&SYSTEM
  ibrav = 0, nat = 148, ntyp = 4
/
ATOMIC_SPECIES
Zn 65.41 Zn.upf
H 1.01 H.upf
C 12.01 C.upf
O 16.00 O.upf
ATOMIC_POSITIONS crystal
Zn 0.000 0.000 0.000
Zn 0.000 0.500 0.500
Zn 0.063 0.119 0.306
Zn 0.063 0.381 0.806
Zn 0.125 0.073 0.869
Zn 0.125 0.427 0.369
Zn 0.500 0.000 0.000
Zn 0.500 0.500 0.500
Zn 0.875 0.573 0.631
Zn 0.875 0.927 0.131
Zn 0.937 0.619 0.194
Zn 0.937 0.881 0.694
H 0.012 0.116 0.452
H 0.012 0.384 0.952
H 0.014 0.739 0.869
H 0.014 0.761 0.369
H 0.254 0.708 0.276
H 0.254 0.792 0.776
H 0.263 0.664 0.572
H 0.263 0.836 0.072
H 0.284 0.050 0.262
H 0.284 0.450 0.762
H 0.291 0.505 0.034
H 0.291 0.995 0.534
H 0.307 0.220 0.672
H 0.307 0.280 0.172
H 0.338 0.119 0.760
H 0.338 0.381 0.260
H 0.428 0.113 0.601
H 0.428 0.387 0.101
H 0.463 0.559 0.122
H 0.463 0.941 0.622
H 0.480 0.164 0.753
H 0.480 0.208 0.479
H 0.480 0.292 0.979
H 0.480 0.336 0.253
H 0.520 0.664 0.747
H 0.520 0.708 0.021
H 0.520 0.792 0.521
H 0.520 0.836 0.247
H 0.537 0.059 0.378
H 0.537 0.441 0.878
H 0.572 0.613 0.899
H 0.572 0.887 0.399
H 0.662 0.619 0.740
H 0.662 0.881 0.240
H 0.693 0.720 0.828
H 0.693 0.780 0.328
H 0.709 0.005 0.466
H 0.709 0.495 0.966
H 0.716 0.550 0.238
H 0.716 0.950 0.738
H 0.737 0.164 0.928
H 0.737 0.336 0.428
H 0.746 0.208 0.224
H 0.746 0.292 0.724
H 0.986 0.239 0.631
H 0.986 0.261 0.131
H 0.988 0.616 0.048
H 0.988 0.884 0.548
C 0.004 0.660 0.826
C 0.004 0.840 0.326
C 0.026 0.222 0.446
C 0.026 0.278 0.946
C 0.178 0.024 0.203
C 0.178 0.476 0.703
C 0.271 0.635 0.323
C 0.271 0.865 0.823
C 0.273 0.598 0.529
C 0.273 0.902 0.029
C 0.339 0.016 0.661
C 0.339 0.484 0.161
C 0.365 0.229 0.436
C 0.365 0.271 0.936
C 0.367 0.136 0.716
C 0.367 0.364 0.216
C 0.383 0.019 0.601
C 0.383 0.481 0.101
C 0.617 0.519 0.899
C 0.617 0.981 0.399
C 0.633 0.636 0.784
C 0.633 0.864 0.284
C 0.635 0.729 0.064
C 0.635 0.771 0.564
C 0.661 0.516 0.839
C 0.661 0.984 0.339
C 0.727 0.098 0.971
C 0.727 0.402 0.471
C 0.729 0.135 0.177
C 0.729 0.365 0.677
C 0.822 0.524 0.297
C 0.822 0.976 0.797
C 0.974 0.722 0.054
C 0.974 0.778 0.554
C 0.996 0.160 0.674
C 0.996 0.340 0.174
O 0.020 0.201 0.995
O 0.020 0.299 0.495
O 0.046 0.248 0.888
O 0.046 0.252 0.388
O 0.052 0.549 0.860
O 0.052 0.951 0.360
O 0.056 0.191 0.754
O 0.056 0.309 0.254
O 0.078 0.017 0.212
O 0.078 0.483 0.712
O 0.158 0.583 0.308
O 0.158 0.917 0.808
O 0.163 0.527 0.476
O 0.163 0.973 0.976
O 0.168 0.005 0.134
O 0.168 0.495 0.634
O 0.281 0.582 0.165
O 0.281 0.918 0.665
O 0.283 0.134 0.394
O 0.283 0.366 0.894
O 0.330 0.150 0.933
O 0.330 0.350 0.433
O 0.387 0.602 0.537
O 0.387 0.898 0.037
O 0.397 0.611 0.387
O 0.397 0.889 0.887
O 0.603 0.111 0.113
O 0.603 0.389 0.613
O 0.613 0.102 0.963
O 0.613 0.398 0.463
O 0.670 0.650 0.567
O 0.670 0.850 0.067
O 0.717 0.634 0.106
O 0.717 0.866 0.606
O 0.719 0.082 0.335
O 0.719 0.418 0.835
O 0.832 0.505 0.366
O 0.832 0.995 0.866
O 0.837 0.027 0.024
O 0.837 0.473 0.524
O 0.842 0.083 0.192
O 0.842 0.417 0.692
O 0.922 0.517 0.288
O 0.922 0.983 0.788
O 0.944 0.691 0.746
O 0.944 0.809 0.246
O 0.948 0.049 0.640
O 0.948 0.451 0.140
O 0.954 0.748 0.612
O 0.954 0.752 0.112
O 0.980 0.701 0.505
O 0.980 0.799 0.005
CELL_PARAMETERS angstrom
11.677 0.000 0.000
0.000 10.205 0.000
-11.272 0.000 15.291
```

Summary:
Energy of formation in kJ per mole of atoms: -103.0
Calculated volume in A^3/atom: 12.3

---

The highest calculated volume belongs to which entry?
number 3

---

What is the energy of formation in the third record?
-127.4 kJ per mole of atoms

---

Among the records above, which one has the highest calculated volume?
number 3